No. 1
! MnCdF5 (GGA+U, relaxed); values from VASP
&SYSTEM
  ibrav = 0, nat = 28, ntyp = 3
/
ATOMIC_SPECIES
Mn 54.94 Mn.upf
Cd 112.41 Cd.upf
F 19.00 F.upf
CELL_PARAMETERS angstrom
6.4093 0.0000 0.0000
0.0000 7.2005 -3.5079
0.0000 0.0249 9.0428
ATOMIC_POSITIONS angstrom
Mn 3.2047 0.0125 4.5214
Mn 0.0000 3.6002 -1.7540
Mn 3.2047 3.6127 2.7674
Mn 0.0000 0.0000 0.0000
Cd 3.4714 1.8156 8.1651
Cd 0.2667 5.4223 1.8912
Cd 6.1426 1.8031 3.6437
Cd 2.9380 5.4098 -2.6302
F 4.5180 6.8498 5.5271
F 5.0960 6.8373 1.0057
F 3.8838 1.8248 3.6627
F 5.7302 1.8123 -0.8587
F 4.5073 3.9514 -1.8626
F 1.8914 0.3756 0.0078
F 5.1067 3.9639 2.6588
F 0.1970 6.4880 3.8353
F 3.2729 2.7891 1.1035
F 6.2124 0.7374 1.6996
F 1.3026 3.2615 2.8761
F 2.5255 5.4006 1.8722
F 3.0077 6.4755 -0.6861
F 3.4016 0.7498 6.2210
F 3.1365 4.4363 4.4314
F 1.3133 0.3881 4.5292
F 0.6792 5.4130 6.3936
F 6.3411 2.8015 5.6248
F 1.9020 3.2740 7.3975
F 0.0682 4.4238 -0.0900
! - energy of formation from the pure elements (eV/atom) = -2.64


No. 2
! Li9Mn2Co5O16 (GGA+U, relaxed); values from VASP
&SYSTEM
  ibrav = 0, nat = 32, ntyp = 4
/
ATOMIC_SPECIES
Li 6.94 Li.upf
Mn 54.94 Mn.upf
Co 58.93 Co.upf
O 16.00 O.upf
CELL_PARAMETERS angstrom
-2.9682 0.0000 0.0000
-0.0076 -9.9826 0.0000
1.4242 4.4587 9.6946
ATOMIC_POSITIONS angstrom
Li -0.7769 -1.9564 2.5599
Li 0.7132 -1.0083 7.1356
Li -2.2648 -4.5156 2.5590
Li -2.2276 0.4667 2.4696
Li -0.7906 1.5189 7.2371
Li -0.7610 -7.0428 2.4575
Li 0.6759 -5.9906 7.2250
Li -0.7747 -3.5675 7.1347
Li 0.7083 -2.7620 4.8473
Mn -0.7793 -3.7041 0.0188
Mn -0.7724 -1.8198 9.6758
Co -0.7874 -5.1619 4.8572
Co 0.7546 -4.3846 9.6798
Co 0.7121 2.2293 4.8473
Co -2.3063 -1.1393 0.0148
Co -0.7643 -0.3620 4.8374
O -2.2753 -2.9929 1.0933
O -0.7833 -1.7060 6.0011
O -0.7366 -5.4057 1.0276
O -0.7803 -0.4093 1.1859
O 0.6341 0.6833 5.9772
O -2.1788 -7.8013 1.0812
O -0.7996 -6.8151 5.9311
O 0.6416 -4.4370 5.9679
O -2.1932 -1.0869 3.7267
O -0.8150 -0.1182 8.6670
O -0.7683 -3.8179 3.6935
O -0.7520 1.2912 3.7635
O 0.6272 2.2774 8.6134
O -2.1857 -6.2072 3.7174
O -0.7713 -5.1146 8.5087
O 0.7237 -2.5310 8.6013
! - excess energy over the best structure of this formula in the dataset (meV/atom) = 88
! - energy of formation from the pure elements (eV/atom) = -1.78


Look up the energy of formation from the pure elements of the second one. -1.78 eV/atom


Which formula does entry 1 have? MnCdF5